(1)
## HoTmHg2 (r2SCAN)

Data for crystalline HoTmHg2 at its relaxed geometry. Values from VASP.

Quantum ESPRESSO input file:
```
&SYSTEM
  ibrav = 0, nat = 4, ntyp = 3
/
ATOMIC_SPECIES
Hg 200.59 Hg.upf
Ho 164.93 Ho.upf
Tm 168.93 Tm.upf
ATOMIC_POSITIONS angstrom
Hg 1.828 1.828 1.828
Hg 5.485 5.485 5.485
Ho 3.657 3.657 3.657
Tm 0.000 0.000 0.000
CELL_PARAMETERS angstrom
0.000 3.657 3.657
3.657 0.000 3.657
3.657 3.657 0.000
```

## Properties
Formation enthalpy at 0 K: -0.573 eV per atom
Spin magnetization: 0.000 μB per atom
ρ: 12.48 g cm⁻³
Calculated volume: 24.451 Å³ per atom

=====

(2)
## YbHoHg2 (r2SCAN)

Data for crystalline YbHoHg2 at its relaxed geometry. Values from VASP.

Quantum ESPRESSO input file:
```
&SYSTEM
  ibrav = 0, nat = 4, ntyp = 3
/
ATOMIC_SPECIES
Hg 200.59 Hg.upf
Yb 173.04 Yb.upf
Ho 164.93 Ho.upf
ATOMIC_POSITIONS angstrom
Hg 0.101 -2.507 1.922
Hg 0.302 -7.520 5.767
Yb 0.000 0.000 0.000
Ho 0.201 -5.013 3.845
CELL_PARAMETERS angstrom
2.110 -1.936 4.294
-2.784 -3.052 3.094
1.076 -5.039 0.302
```

## Properties
Formation enthalpy at 0 K: -0.574 eV per atom
Spin magnetization: 0.000 μB per atom
ρ: 12.62 g cm⁻³
Calculated volume: 24.305 Å³ per atom

=====

(3)
## Ho2ZnHg (r2SCAN)

Data for crystalline Ho2ZnHg at its relaxed geometry. Values from VASP.

Quantum ESPRESSO input file:
```
&SYSTEM
  ibrav = 0, nat = 4, ntyp = 3
/
ATOMIC_SPECIES
Hg 200.59 Hg.upf
Zn 65.41 Zn.upf
Ho 164.93 Ho.upf
ATOMIC_POSITIONS angstrom
Hg -5.484 0.525 -2.953
Zn 0.000 0.000 0.000
Ho -2.742 0.262 -1.476
Ho -8.226 0.787 -4.429
CELL_PARAMETERS angstrom
-3.640 -2.546 -2.513
-4.888 1.378 0.503
-2.440 2.218 -3.895
```

## Properties
Formation enthalpy at 0 K: -0.472 eV per atom
Spin magnetization: 0.000 μB per atom
ρ: 10.53 g cm⁻³
Calculated volume: 23.496 Å³ per atom

=====

(4)
## Hg3S2I2 (r2SCAN)

Data for crystalline Hg3S2I2 at its relaxed geometry. Values from VASP.

Quantum ESPRESSO input file:
```
&SYSTEM
  ibrav = 0, nat = 28, ntyp = 3
/
ATOMIC_SPECIES
S 32.06 S.upf
Hg 200.59 Hg.upf
I 126.90 I.upf
ATOMIC_POSITIONS angstrom
S 4.828 2.544 2.378
S 4.828 -2.544 7.204
S 0.003 2.409 7.204
S 4.828 2.545 7.204
S 4.834 2.544 -2.379
S -0.003 2.409 11.962
S 0.003 7.497 2.379
S 0.003 2.409 2.379
Hg 7.246 2.476 1.964
Hg 4.827 -2.315 4.791
Hg 4.827 2.315 4.792
Hg 0.005 7.268 4.792
Hg -2.415 2.477 7.619
Hg 2.416 2.476 -1.964
Hg 4.467 4.953 7.373
Hg 0.005 2.638 4.791
Hg 0.365 0.000 2.210
Hg 2.415 2.478 11.547
Hg 0.364 0.001 7.372
Hg 4.467 4.953 2.210
I 2.335 4.953 4.792
I -2.335 4.954 9.579
I 2.495 0.001 4.788
I 2.337 4.953 -0.003
I 7.165 -0.001 0.005
I -2.272 4.953 4.792
I 2.495 0.000 9.586
I 7.102 0.001 4.791
CELL_PARAMETERS angstrom
-4.831 4.953 9.583
4.831 -4.953 9.583
4.831 4.953 -9.583
```

## Properties
Formation enthalpy at 0 K: -0.282 eV per atom
Spin magnetization: 0.000 μB per atom
ρ: 6.66 g cm⁻³
Calculated volume: 32.758 Å³ per atom

=====

(5)
## Hg5Sb2I6 (r2SCAN)

Data for crystalline Hg5Sb2I6 at its relaxed geometry. Values from VASP.

Quantum ESPRESSO input file:
```
&SYSTEM
  ibrav = 0, nat = 52, ntyp = 3
/
ATOMIC_SPECIES
I 126.90 I.upf
Hg 200.59 Hg.upf
Sb 121.76 Sb.upf
ATOMIC_POSITIONS angstrom
I -1.715 6.579 4.197
I 4.536 2.999 4.352
I 12.852 3.588 2.366
I 8.926 5.433 10.439
I 19.545 7.557 11.046
I 0.393 8.708 0.874
I 5.348 10.333 7.139
I 3.188 7.228 9.617
I 17.871 5.177 7.647
I 8.903 8.704 4.804
I 2.357 7.383 5.401
I 6.389 6.320 6.862
I 12.809 10.137 5.973
I 8.605 4.212 3.534
I 13.342 11.109 10.128
I 16.818 9.236 7.922
I -0.837 6.278 8.357
I 1.383 4.685 1.584
I 18.849 7.753 4.064
I 16.056 6.415 0.812
I 14.691 6.880 4.863
I 11.875 7.564 1.659
I 5.604 3.662 0.239
I 9.407 9.819 8.887
Hg 17.791 8.634 0.827
Hg 0.864 4.326 9.854
Hg 2.908 8.132 1.681
Hg 16.843 5.437 3.985
Hg 15.276 5.799 8.079
Hg 9.142 9.135 1.815
Hg -1.215 6.020 1.262
Hg 16.979 9.802 5.180
Hg 9.072 4.779 7.484
Hg 8.205 2.600 0.433
Hg 13.757 9.383 2.336
Hg 0.624 5.163 5.358
Hg 10.210 11.198 5.752
Hg 19.429 7.894 8.037
Hg 5.841 9.645 4.466
Hg 12.295 8.811 9.075
Hg 4.427 4.549 7.424
Hg 1.174 8.591 8.364
Hg 12.002 4.484 10.568
Hg 5.721 5.217 3.274
Sb 11.239 5.655 6.118
Sb 5.441 7.789 2.510
Sb 15.769 11.011 3.057
Sb 7.164 8.149 0.251
Sb 17.506 11.318 0.800
Sb 2.331 2.969 8.001
Sb 12.659 6.191 8.548
Sb 0.897 2.486 5.568
CELL_PARAMETERS angstrom
-2.117 8.013 -0.437
-0.709 0.410 10.960
20.886 5.579 1.141
```

## Properties
Formation enthalpy at 0 K: -0.287 eV per atom
Spin magnetization: 0.000 μB per atom
ρ: 6.75 g cm⁻³
Calculated volume: 37.973 Å³ per atom

=====

(6)
## Hg3Se2I2 (r2SCAN)

Data for crystalline Hg3Se2I2 at its relaxed geometry. Values from VASP.

Quantum ESPRESSO input file:
```
&SYSTEM
  ibrav = 0, nat = 28, ntyp = 3
/
ATOMIC_SPECIES
I 126.90 I.upf
Se 78.96 Se.upf
Hg 200.59 Hg.upf
ATOMIC_POSITIONS angstrom
I -6.233 0.158 4.020
I -3.167 -4.527 -0.022
I -7.206 -1.692 -0.295
I -5.524 -0.010 -6.892
I -11.249 1.108 -0.631
I -4.557 1.845 -2.579
I -0.511 -0.957 -2.242
I -8.592 4.677 -2.851
Se -11.447 5.169 0.267
Se -4.297 -2.317 -3.568
Se -5.808 4.116 -5.994
Se -8.439 0.571 -3.880
Se -5.951 -3.966 3.121
Se -0.312 -5.019 -3.140
Se -3.320 -0.421 1.007
Se -7.462 2.467 0.695
Hg -14.375 9.798 -1.458
Hg -6.229 -0.673 -3.718
Hg -7.928 -2.408 2.770
Hg -1.669 -6.662 -1.738
Hg -3.436 -1.629 -1.253
Hg -10.091 6.811 -1.135
Hg -8.323 1.778 -1.620
Hg -3.832 2.558 -5.643
Hg -5.651 5.380 -3.767
Hg 2.616 -9.648 -1.415
Hg -10.545 5.912 2.548
Hg -5.530 0.822 0.845
CELL_PARAMETERS angstrom
-9.782 3.940 5.947
-6.414 7.352 -7.166
4.437 -11.142 -1.655
```

## Properties
Formation enthalpy at 0 K: -0.323 eV per atom
Spin magnetization: 0.000 μB per atom
ρ: 6.98 g cm⁻³
Calculated volume: 34.427 Å³ per atom

=====

(7)
## InHg3 (r2SCAN)

Data for crystalline InHg3 at its relaxed geometry. Values from VASP.

Quantum ESPRESSO input file:
```
&SYSTEM
  ibrav = 0, nat = 8, ntyp = 2
/
ATOMIC_SPECIES
Hg 200.59 Hg.upf
In 114.82 In.upf
ATOMIC_POSITIONS angstrom
Hg 0.730 1.796 1.313
Hg 1.183 2.380 4.635
Hg 0.171 5.847 -2.796
Hg 0.625 6.432 0.527
Hg -0.712 4.510 2.775
Hg 2.066 3.717 -0.936
In -1.158 3.921 -0.532
In 2.513 4.307 2.371
CELL_PARAMETERS angstrom
-3.773 4.241 -3.703
0.903 1.164 6.616
4.225 2.822 -1.073
```

## Properties
Formation enthalpy at 0 K: 0.018 eV per atom
Spin magnetization: 0.000 μB per atom
ρ: 11.52 g cm⁻³
Calculated volume: 25.825 Å³ per atom

=====

(8)
## InHg3 (r2SCAN)

Data for crystalline InHg3 at its relaxed geometry. Values from VASP.

Quantum ESPRESSO input file:
```
&SYSTEM
  ibrav = 0, nat = 4, ntyp = 2
/
ATOMIC_SPECIES
Hg 200.59 Hg.upf
In 114.82 In.upf
ATOMIC_POSITIONS angstrom
Hg 0.000 0.000 0.000
Hg 0.959 1.229 8.470
Hg 0.959 -1.229 2.786
In 1.917 0.000 5.628
CELL_PARAMETERS angstrom
1.917 -2.459 0.000
1.917 2.459 0.000
0.000 0.000 11.256
```

## Properties
Formation enthalpy at 0 K: 0.014 eV per atom
Spin magnetization: 0.000 μB per atom
ρ: 11.21 g cm⁻³
Calculated volume: 26.528 Å³ per atom

=====

(9)
## LaInHg2 (r2SCAN)

Data for crystalline LaInHg2 at its relaxed geometry. Values from VASP.

Quantum ESPRESSO input file:
```
&SYSTEM
  ibrav = 0, nat = 4, ntyp = 3
/
ATOMIC_SPECIES
Hg 200.59 Hg.upf
In 114.82 In.upf
La 138.91 La.upf
ATOMIC_POSITIONS angstrom
Hg 1.865 1.865 1.865
Hg 5.595 5.595 5.595
In 0.000 0.000 0.000
La 3.730 3.730 3.730
CELL_PARAMETERS angstrom
0.000 3.730 3.730
3.730 0.000 3.730
3.730 3.730 0.000
```

## Properties
Formation enthalpy at 0 K: -0.543 eV per atom
Spin magnetization: 0.000 μB per atom
ρ: 10.48 g cm⁻³
Calculated volume: 25.945 Å³ per atom

=====

(10)
## LiInHg2 (r2SCAN)

Data for crystalline LiInHg2 at its relaxed geometry. Values from VASP.

Quantum ESPRESSO input file:
```
&SYSTEM
  ibrav = 0, nat = 4, ntyp = 3
/
ATOMIC_SPECIES
Li 6.94 Li.upf
Hg 200.59 Hg.upf
In 114.82 In.upf
ATOMIC_POSITIONS angstrom
Li 0.000 0.000 0.000
Hg 5.277 5.277 5.277
Hg 1.759 1.759 1.759
In 3.518 3.518 3.518
CELL_PARAMETERS angstrom
0.000 3.518 3.518
3.518 0.000 3.518
3.518 3.518 0.000
```

## Properties
Formation enthalpy at 0 K: -0.211 eV per atom
Spin magnetization: 0.000 μB per atom
ρ: 9.97 g cm⁻³
Calculated volume: 21.769 Å³ per atom

=====

(11)
## Lu2InHg (r2SCAN)

Data for crystalline Lu2InHg at its relaxed geometry. Values from VASP.

Quantum ESPRESSO input file:
```
&SYSTEM
  ibrav = 0, nat = 4, ntyp = 3
/
ATOMIC_SPECIES
In 114.82 In.upf
Lu 174.97 Lu.upf
Hg 200.59 Hg.upf
ATOMIC_POSITIONS angstrom
In 5.476 5.476 5.476
Lu 0.000 0.000 0.000
Lu 3.650 3.650 3.650
Hg 1.825 1.825 1.825
CELL_PARAMETERS angstrom
0.000 3.650 3.650
3.650 0.000 3.650
3.650 3.650 0.000
```

## Properties
Formation enthalpy at 0 K: -0.518 eV per atom
Spin magnetization: 0.000 μB per atom
ρ: 11.36 g cm⁻³
Calculated volume: 24.321 Å³ per atom

=====

(12)
## PmInHg2 (r2SCAN)

Data for crystalline PmInHg2 at its relaxed geometry. Values from VASP.

Quantum ESPRESSO input file:
```
&SYSTEM
  ibrav = 0, nat = 4, ntyp = 3
/
ATOMIC_SPECIES
Pm 145.00 Pm.upf
In 114.82 In.upf
Hg 200.59 Hg.upf
ATOMIC_POSITIONS angstrom
Pm 5.498 5.503 5.506
In 1.833 1.834 1.835
Hg 3.665 3.672 7.338
Hg 3.665 3.669 3.670
CELL_PARAMETERS angstrom
-0.001 3.670 3.671
3.667 0.002 3.667
3.666 3.666 0.003
```

## Properties
Formation enthalpy at 0 K: -0.475 eV per atom
Spin magnetization: 0.000 μB per atom
ρ: 11.13 g cm⁻³
Calculated volume: 24.657 Å³ per atom

=====

(13)
## Sc2InHg (r2SCAN)

Data for crystalline Sc2InHg at its relaxed geometry. Values from VASP.

Quantum ESPRESSO input file:
```
&SYSTEM
  ibrav = 0, nat = 4, ntyp = 3
/
ATOMIC_SPECIES
Sc 44.96 Sc.upf
In 114.82 In.upf
Hg 200.59 Hg.upf
ATOMIC_POSITIONS angstrom
Sc 5.299 5.299 5.299
Sc 1.766 1.766 1.766
In 0.000 0.000 0.000
Hg 3.533 3.533 3.533
CELL_PARAMETERS angstrom
0.000 3.533 3.533
3.533 0.000 3.533
3.533 3.533 0.000
```

## Properties
Formation enthalpy at 0 K: -0.492 eV per atom
Spin magnetization: 0.144 μB per atom
ρ: 7.63 g cm⁻³
Calculated volume: 22.048 Å³ per atom

=====

(14)
## Tb2InHg (r2SCAN)

Data for crystalline Tb2InHg at its relaxed geometry. Values from VASP.

Quantum ESPRESSO input file:
```
&SYSTEM
  ibrav = 0, nat = 4, ntyp = 3
/
ATOMIC_SPECIES
Tb 158.93 Tb.upf
Hg 200.59 Hg.upf
In 114.82 In.upf
ATOMIC_POSITIONS angstrom
Tb -1.742 -2.608 0.807
Tb -5.227 -7.823 2.420
Hg -3.484 -5.216 1.613
In 0.000 0.000 0.000
CELL_PARAMETERS angstrom
0.205 -5.187 1.007
-3.170 -2.109 3.670
-4.004 -3.135 -1.450
```

## Properties
Formation enthalpy at 0 K: -0.595 eV per atom
Spin magnetization: 0.163 μB per atom
ρ: 10.06 g cm⁻³
Calculated volume: 26.142 Å³ per atom

=====

(15)
## In2HgTe4 (r2SCAN)

Data for crystalline In2HgTe4 at its relaxed geometry. Values from VASP.

Quantum ESPRESSO input file:
```
&SYSTEM
  ibrav = 0, nat = 7, ntyp = 3
/
ATOMIC_SPECIES
Te 127.60 Te.upf
Hg 200.59 Hg.upf
In 114.82 In.upf
ATOMIC_POSITIONS angstrom
Te 3.490 0.763 3.622
Te 3.946 5.139 -2.469
Te -0.150 3.328 3.846
Te 1.952 2.085 0.096
Hg 0.000 0.000 0.000
In 0.570 4.249 1.274
In 2.319 2.841 -2.594
CELL_PARAMETERS angstrom
5.799 0.000 -2.594
-1.160 5.681 -2.593
-0.020 -0.024 7.735
```

## Properties
Formation enthalpy at 0 K: -0.405 eV per atom
Spin magnetization: 0.000 μB per atom
ρ: 6.15 g cm⁻³
Calculated volume: 36.299 Å³ per atom

=====

(16)
## Tm2InHg (r2SCAN)

Data for crystalline Tm2InHg at its relaxed geometry. Values from VASP.

Quantum ESPRESSO input file:
```
&SYSTEM
  ibrav = 0, nat = 4, ntyp = 3
/
ATOMIC_SPECIES
In 114.82 In.upf
Tm 168.93 Tm.upf
Hg 200.59 Hg.upf
ATOMIC_POSITIONS angstrom
In 0.000 0.000 0.000
Tm 5.511 5.511 5.511
Tm 1.837 1.837 1.837
Hg 3.674 3.674 3.674
CELL_PARAMETERS angstrom
0.000 3.674 3.674
3.674 0.000 3.674
3.674 3.674 0.000
```

## Properties
Formation enthalpy at 0 K: -0.548 eV per atom
Spin magnetization: 0.000 μB per atom
ρ: 10.94 g cm⁻³
Calculated volume: 24.793 Å³ per atom

=====

(17)
## Yb2InHg (r2SCAN)

Data for crystalline Yb2InHg at its relaxed geometry. Values from VASP.

Quantum ESPRESSO input file:
```
&SYSTEM
  ibrav = 0, nat = 4, ntyp = 3
/
ATOMIC_SPECIES
Yb 173.04 Yb.upf
In 114.82 In.upf
Hg 200.59 Hg.upf
ATOMIC_POSITIONS angstrom
Yb -2.460 -1.995 -0.140
Yb -7.379 -5.985 -0.421
In 0.000 0.000 0.000
Hg -4.919 -3.990 -0.281
CELL_PARAMETERS angstrom
-1.908 -4.486 1.740
-5.086 -0.504 0.824
-2.844 -2.989 -3.126
```

## Properties
Formation enthalpy at 0 K: -0.545 eV per atom
Spin magnetization: 0.000 μB per atom
ρ: 11.20 g cm⁻³
Calculated volume: 24.523 Å³ per atom

=====

(18)
## KHg11 (r2SCAN)

Data for crystalline KHg11 at its relaxed geometry. Values from VASP.

Quantum ESPRESSO input file:
```
&SYSTEM
  ibrav = 0, nat = 36, ntyp = 2
/
ATOMIC_SPECIES
Hg 200.59 Hg.upf
K 39.10 K.upf
ATOMIC_POSITIONS angstrom
Hg 7.450 7.450 5.077
Hg 6.656 3.498 0.000
Hg 6.656 6.656 0.000
Hg 2.704 5.077 2.704
Hg 8.605 1.550 8.605
Hg 0.000 3.498 6.656
Hg 7.450 5.077 7.450
Hg 8.605 8.605 8.605
Hg 5.077 7.450 7.450
Hg 2.704 2.704 5.077
Hg 5.077 5.077 5.077
Hg 3.498 0.000 6.656
Hg 3.498 6.656 0.000
Hg 1.550 8.605 8.605
Hg 1.550 1.550 8.605
Hg 0.000 6.656 3.498
Hg 2.704 7.450 5.077
Hg 3.498 0.000 3.498
Hg 1.550 1.550 1.550
Hg 3.498 3.498 0.000
Hg 6.656 0.000 3.498
Hg 5.077 7.450 2.704
Hg 8.605 8.605 1.550
Hg 0.000 6.656 6.656
Hg 7.450 5.077 2.704
Hg 8.605 1.550 1.550
Hg 0.000 3.498 3.498
Hg 1.550 8.605 1.550
Hg 5.077 2.704 2.704
Hg 2.704 5.077 7.450
Hg 6.656 0.000 6.656
Hg 5.077 2.704 7.450
Hg 7.450 2.704 5.077
K 5.077 0.000 0.000
K 0.000 0.000 5.077
K 0.000 5.077 0.000
CELL_PARAMETERS angstrom
10.154 0.000 0.000
0.000 10.154 0.000
0.000 0.000 10.154
```

## Properties
Formation enthalpy at 0 K: -0.101 eV per atom
Spin magnetization: 0.000 μB per atom
ρ: 10.68 g cm⁻³
Calculated volume: 29.084 Å³ per atom

=====

(19)
## KHg2 (r2SCAN)

Data for crystalline KHg2 at its relaxed geometry. Values from VASP.

Quantum ESPRESSO input file:
```
&SYSTEM
  ibrav = 0, nat = 6, ntyp = 2
/
ATOMIC_SPECIES
Hg 200.59 Hg.upf
K 39.10 K.upf
ATOMIC_POSITIONS angstrom
Hg 3.163 4.331 2.609
Hg 3.812 1.875 7.725
Hg 1.866 0.793 5.609
Hg 5.108 5.413 4.726
K 1.747 4.349 5.885
K 5.228 1.857 4.449
CELL_PARAMETERS angstrom
4.820 0.000 2.083
2.145 6.018 1.654
0.009 0.188 6.597
```

## Properties
Formation enthalpy at 0 K: -0.297 eV per atom
Spin magnetization: 0.000 μB per atom
ρ: 7.67 g cm⁻³
Calculated volume: 31.763 Å³ per atom

=====

(20)
## KHg6 (r2SCAN)

Data for crystalline KHg6 at its relaxed geometry. Values from VASP.

Quantum ESPRESSO input file:
```
&SYSTEM
  ibrav = 0, nat = 28, ntyp = 2
/
ATOMIC_SPECIES
Hg 200.59 Hg.upf
K 39.10 K.upf
ATOMIC_POSITIONS angstrom
Hg 0.027 1.361 9.656
Hg 9.594 4.082 2.870
Hg 11.111 1.361 8.262
Hg 4.954 4.082 6.514
Hg 1.269 1.361 6.942
Hg 5.632 4.082 1.550
Hg 1.948 1.361 1.122
Hg 11.855 4.082 9.661
Hg 12.534 4.082 3.842
Hg 4.814 1.361 0.067
Hg 8.850 1.361 4.269
Hg 13.149 4.082 6.894
Hg 11.715 1.361 5.324
Hg 0.654 1.361 3.889
Hg 2.088 4.082 5.459
Hg 13.776 4.082 1.127
Hg 6.929 1.361 6.519
Hg 6.247 4.082 9.281
Hg 4.209 1.361 7.913
Hg 2.692 4.082 2.521
Hg 8.171 1.361 9.234
Hg 8.990 4.082 10.716
Hg 6.875 4.082 4.265
Hg 7.556 1.361 1.503
K 11.302 1.361 1.400
K 4.400 1.361 3.991
K 2.502 4.082 9.383
K 9.403 4.082 6.792
CELL_PARAMETERS angstrom
0.000 5.442 0.000
0.000 0.000 10.783
13.803 0.000 0.000
```

## Properties
Formation enthalpy at 0 K: -0.166 eV per atom
Spin magnetization: 0.000 μB per atom
ρ: 10.19 g cm⁻³
Calculated volume: 28.931 Å³ per atom